! KY3F10 r2SCAN relaxed; values from VASP
&SYSTEM
  ibrav = 0, nat = 28, ntyp = 3
/
ATOMIC_SPECIES
F 19.00 F.upf
Y 88.91 Y.upf
K 39.10 K.upf
CELL_PARAMETERS angstrom
0.000 5.765 5.765
5.765 0.000 5.765
5.765 5.765 0.000
ATOMIC_POSITIONS crystal
F 0.168 0.500 0.500
F 0.336 0.888 0.888
F 0.500 0.832 0.500
F 0.500 0.168 0.832
F 0.888 0.888 0.888
F 0.112 0.664 0.112
F 0.888 0.336 0.888
F 0.664 0.112 0.112
F 0.112 0.112 0.112
F 0.168 0.832 0.500
F 0.168 0.500 0.832
F 0.500 0.168 0.500
F 0.500 0.832 0.168
F 0.832 0.500 0.500
F 0.888 0.888 0.336
F 0.500 0.500 0.832
F 0.832 0.168 0.500
F 0.832 0.500 0.168
F 0.500 0.500 0.168
F 0.112 0.112 0.664
Y 0.240 0.760 0.760
Y 0.240 0.760 0.240
Y 0.240 0.240 0.760
Y 0.760 0.240 0.760
Y 0.760 0.240 0.240
Y 0.760 0.760 0.240
K 0.750 0.750 0.750
K 0.250 0.250 0.250
! Calculated volume ... 191.6 Å³/f.u.

=====

! K3YF6 r2SCAN relaxed; values from VASP
&SYSTEM
  ibrav = 0, nat = 20, ntyp = 3
/
ATOMIC_SPECIES
F 19.00 F.upf
K 39.10 K.upf
Y 88.91 Y.upf
CELL_PARAMETERS angstrom
-1.694 -5.838 -1.586
6.202 -2.012 0.782
-1.615 -1.628 8.622
ATOMIC_POSITIONS crystal
F 0.219 0.322 0.550
F 0.781 0.678 0.450
F 0.171 0.268 0.924
F 0.719 0.178 0.050
F 0.120 0.063 0.226
F 0.329 0.768 0.576
F 0.829 0.732 0.076
F 0.671 0.232 0.424
F 0.380 0.563 0.274
F 0.281 0.822 0.950
F 0.620 0.437 0.726
F 0.880 0.937 0.774
K 0.500 0.500 0.000
K 0.519 0.944 0.243
K 0.019 0.556 0.743
K 0.981 0.444 0.257
K 0.000 0.000 0.500
K 0.481 0.056 0.757
Y 0.000 0.000 0.000
Y 0.500 0.500 0.500
! Calculated volume ... 184.0 Å³/f.u.

=====

! K2YF5 r2SCAN relaxed; values from VASP
&SYSTEM
  ibrav = 0, nat = 32, ntyp = 3
/
ATOMIC_SPECIES
F 19.00 F.upf
Y 88.91 Y.upf
K 39.10 K.upf
CELL_PARAMETERS angstrom
-4.072 -2.938 -4.199
4.592 -5.568 -0.557
-4.911 -4.867 8.168
ATOMIC_POSITIONS crystal
F 0.351 0.035 0.576
F 0.351 0.465 0.576
F 0.601 0.250 0.988
F 0.649 0.965 0.424
F 0.631 0.750 0.668
F 0.899 0.250 0.488
F 0.837 0.250 0.194
F 0.149 0.035 0.076
F 0.869 0.750 0.168
F 0.649 0.535 0.424
F 0.131 0.250 0.832
F 0.851 0.535 0.924
F 0.149 0.465 0.076
F 0.369 0.250 0.332
F 0.163 0.750 0.806
F 0.399 0.750 0.012
F 0.101 0.750 0.512
F 0.663 0.250 0.694
F 0.851 0.965 0.924
F 0.337 0.750 0.306
Y 0.565 0.250 0.497
Y 0.935 0.250 0.997
Y 0.435 0.750 0.503
Y 0.065 0.750 0.003
K 0.535 0.997 0.171
K 0.465 0.497 0.829
K 0.035 0.003 0.329
K 0.035 0.497 0.329
K 0.965 0.503 0.671
K 0.965 0.997 0.671
K 0.465 0.003 0.829
K 0.535 0.503 0.171
! Calculated volume ... 126.8 Å³/f.u.

=====

! K3YbF6 r2SCAN relaxed; values from VASP
&SYSTEM
  ibrav = 0, nat = 10, ntyp = 3
/
ATOMIC_SPECIES
K 39.10 K.upf
F 19.00 F.upf
Yb 173.04 Yb.upf
CELL_PARAMETERS angstrom
4.888 1.803 4.087
-0.013 -6.206 -2.309
-0.141 2.655 -6.065
ATOMIC_POSITIONS crystal
K 0.500 0.250 0.750
K 0.500 0.750 0.250
K 0.000 0.500 0.500
F 0.692 0.692 0.000
F 0.308 0.000 0.308
F 0.000 0.766 0.766
F 0.000 0.234 0.234
F 0.692 0.000 0.692
F 0.308 0.308 0.000
Yb 0.000 0.000 0.000
! Calculated volume ... 210.7 Å³/f.u.

=====

! K3YbF6 r2SCAN relaxed; values from VASP
&SYSTEM
  ibrav = 0, nat = 10, ntyp = 3
/
ATOMIC_SPECIES
F 19.00 F.upf
K 39.10 K.upf
Yb 173.04 Yb.upf
CELL_PARAMETERS angstrom
-3.032 4.162 3.915
3.299 4.827 2.768
-0.986 6.102 -1.906
ATOMIC_POSITIONS crystal
F 0.770 0.230 0.230
F 0.230 0.770 0.230
F 0.770 0.770 0.230
F 0.230 0.770 0.770
F 0.770 0.230 0.770
F 0.230 0.230 0.770
K 0.250 0.250 0.250
K 0.750 0.750 0.750
K 0.500 0.500 0.500
Yb 0.000 0.000 0.000
! Calculated volume ... 191.4 Å³/f.u.

=====

! KZnF3 r2SCAN relaxed; values from VASP
&SYSTEM
  ibrav = 0, nat = 5, ntyp = 3
/
ATOMIC_SPECIES
F 19.00 F.upf
Zn 65.41 Zn.upf
K 39.10 K.upf
CELL_PARAMETERS angstrom
-0.720 -1.919 3.490
1.605 -3.386 -1.530
3.645 1.111 1.364
ATOMIC_POSITIONS crystal
F 0.000 0.500 0.500
F 0.500 0.000 0.500
F 0.500 0.500 0.000
Zn 0.500 0.500 0.500
K 0.000 0.000 0.000
! Calculated volume ... 66.3 Å³/f.u.

=====

Number 1: ΔH_f (0 K) -4.285 eV/atom, mass density 4.3 g/cm³, M_tot 0.0 μB per formula unit. Number 2: ΔH_f (0 K) -3.565 eV/atom, mass density 2.9 g/cm³, M_tot 0.0 μB per formula unit. Number 3: ΔH_f (0 K) -3.754 eV/atom, mass density 3.4 g/cm³, M_tot 0.0 μB per formula unit. Number 4: ΔH_f (0 K) -3.488 eV/atom, mass density 3.2 g/cm³, M_tot 0.0 μB per formula unit. Number 5: ΔH_f (0 K) -3.540 eV/atom, mass density 3.5 g/cm³, M_tot 0.0 μB per formula unit. Number 6: ΔH_f (0 K) -2.814 eV/atom, mass density 4.0 g/cm³, M_tot 0.0 μB per formula unit.